# 1
The following is a PBE calculation of a relaxed Hg3As2F12 crystal, from the Materials Project.

Properties
theoretical density	5.24	Mg/m³
SG	P2_1/c

a = 8.781 Å, b = 6.118 Å, c = 11.563 Å
α = 87.66°, β = 90.00°, γ = 90.00°
Positions (direct):
As1 0.141 0.701 0.672
As2 0.641 0.299 0.828
As3 0.359 0.701 0.172
As4 0.859 0.299 0.328
F1 0.937 0.301 0.186
F2 0.190 0.824 0.220
F3 0.782 0.309 0.470
F4 0.563 0.301 0.686
F5 0.718 0.309 0.970
F6 0.059 0.958 0.638
F7 0.468 0.425 0.879
F8 0.437 0.699 0.314
F9 0.282 0.691 0.030
F10 0.690 0.176 0.280
F11 0.214 0.433 0.702
F12 0.286 0.433 0.202
F13 0.559 0.042 0.862
F14 0.441 0.958 0.138
F15 0.714 0.567 0.798
F16 0.786 0.567 0.298
F17 0.032 0.425 0.379
F18 0.532 0.575 0.121
F19 0.810 0.176 0.780
F20 0.941 0.042 0.362
F21 0.063 0.699 0.814
F22 0.218 0.691 0.530
F23 0.968 0.575 0.621
F24 0.310 0.824 0.720
Hg1 0.000 0.000 0.000
Hg2 0.500 0.000 0.500
Hg3 0.765 0.761 0.070
Hg4 0.235 0.239 0.930
Hg5 0.735 0.761 0.570
Hg6 0.265 0.239 0.430



# 2
The following is a PBE calculation of a relaxed HgAsF7 crystal, from the Materials Project.

Properties
theoretical density	4.60	Mg/m³
SG	P2_1/c

a = 10.219 Å, b = 7.299 Å, c = 8.110 Å
α = 77.06°, β = 90.00°, γ = 90.00°
Positions (direct):
As1 0.065 0.806 0.297
As2 0.935 0.194 0.703
As3 0.565 0.194 0.203
As4 0.435 0.806 0.797
F1 0.860 0.077 0.892
F2 0.578 0.946 0.745
F3 0.808 0.679 0.849
F4 0.508 0.639 0.693
F5 0.422 0.054 0.255
F6 0.992 0.639 0.193
F7 0.488 0.308 0.009
F8 0.008 0.361 0.807
F9 0.298 0.656 0.851
F10 0.133 0.970 0.405
F11 0.308 0.321 0.651
F12 0.692 0.679 0.349
F13 0.867 0.030 0.595
F14 0.988 0.692 0.491
F15 0.202 0.656 0.351
F16 0.367 0.970 0.905
F17 0.140 0.923 0.108
F18 0.640 0.077 0.392
F19 0.078 0.054 0.755
F20 0.633 0.030 0.095
F21 0.512 0.692 0.991
F22 0.922 0.946 0.245
F23 0.360 0.923 0.608
F24 0.192 0.321 0.151
F25 0.702 0.344 0.149
F26 0.012 0.308 0.509
F27 0.492 0.361 0.307
F28 0.798 0.344 0.649
Hg1 0.752 0.724 0.090
Hg2 0.252 0.276 0.410
Hg3 0.248 0.276 0.910
Hg4 0.748 0.724 0.590



# 3
The following is a PBE calculation of a relaxed AsI2F6 crystal, from the Materials Project.

Properties
theoretical density	3.81	Mg/m³
SG	C2/m
energy relative to the lowest polymorph listed for this composition	0	meV per atom

a = 8.163 Å, b = 8.163 Å, c = 6.033 Å
α = 81.29°, β = 81.29°, γ = 78.44°
Positions (direct):
I1 0.761 0.077 0.894
I2 0.923 0.239 0.106
I3 0.077 0.761 0.894
I4 0.239 0.923 0.106
As1 0.306 0.306 0.432
As2 0.694 0.694 0.568
F1 0.168 0.168 0.567
F2 0.211 0.456 0.616
F3 0.395 0.152 0.241
F4 0.848 0.605 0.759
F5 0.560 0.560 0.718
F6 0.152 0.395 0.241
F7 0.605 0.848 0.759
F8 0.544 0.789 0.384
F9 0.789 0.544 0.384
F10 0.832 0.832 0.433
F11 0.440 0.440 0.282
F12 0.456 0.211 0.616



# 4
The following is a PBE calculation of a relaxed AsI5F6 crystal, from the Materials Project.

Properties
theoretical density	3.84	Mg/m³
SG	C2/c

a = 10.756 Å, b = 10.756 Å, c = 8.905 Å
α = 72.39°, β = 72.39°, γ = 119.79°
Positions (direct):
I1 0.670 0.887 0.060
I2 0.148 0.697 0.568
I3 0.303 0.852 0.932
I4 0.697 0.148 0.068
I5 0.000 0.000 0.000
I6 0.887 0.670 0.560
I7 0.852 0.303 0.432
I8 0.330 0.113 0.940
I9 0.113 0.330 0.440
I10 0.000 0.000 0.500
F1 0.225 0.550 0.922
F2 0.721 0.532 0.314
F3 0.450 0.775 0.578
F4 0.550 0.225 0.422
F5 0.532 0.721 0.814
F6 0.775 0.450 0.078
F7 0.591 0.643 0.579
F8 0.409 0.357 0.421
F9 0.643 0.591 0.079
F10 0.279 0.468 0.686
F11 0.357 0.409 0.921
F12 0.468 0.279 0.186
As1 0.406 0.594 0.750
As2 0.594 0.406 0.250



# 5
The following is a PBE calculation of a relaxed AsI2F6 crystal, from the Materials Project.

Properties
theoretical density	2.53	Mg/m³
SG	C2/m
energy relative to the lowest polymorph listed for this composition	340	meV per atom

a = 9.314 Å, b = 9.314 Å, c = 7.064 Å
α = 79.45°, β = 79.45°, γ = 76.92°
Positions (direct):
F1 0.572 0.987 0.785
F2 0.415 0.415 0.148
F3 0.648 0.648 0.499
F4 0.428 0.013 0.215
F5 0.987 0.572 0.785
F6 0.352 0.352 0.501
F7 0.343 0.597 0.738
F8 0.585 0.585 0.852
F9 0.597 0.343 0.738
F10 0.657 0.403 0.262
F11 0.013 0.428 0.215
F12 0.403 0.657 0.262
I1 0.976 0.374 0.747
I2 0.374 0.976 0.747
I3 0.024 0.626 0.253
I4 0.626 0.024 0.253
As1 0.467 0.467 0.344
As2 0.533 0.533 0.656



# 6
The following is a PBE calculation of a relaxed AsI2F6 crystal, from the Materials Project.

Properties
theoretical density	2.13	Mg/m³
SG	C2/m
energy relative to the lowest polymorph listed for this composition	77	meV per atom

a = 7.293 Å, b = 7.293 Å, c = 15.476 Å
α = 83.29°, β = 83.29°, γ = 120.29°
Positions (direct):
I1 0.532 0.037 0.413
I2 0.468 0.963 0.587
I3 0.963 0.468 0.587
I4 0.037 0.532 0.413
F1 0.286 0.487 0.696
F2 0.195 0.397 0.266
F3 0.805 0.603 0.734
F4 0.343 0.343 0.398
F5 0.430 0.430 0.831
F6 0.513 0.714 0.304
F7 0.714 0.513 0.304
F8 0.487 0.286 0.696
F9 0.603 0.805 0.734
F10 0.570 0.570 0.169
F11 0.397 0.195 0.266
F12 0.657 0.657 0.602
As1 0.458 0.458 0.281
As2 0.542 0.542 0.719



# 7
The following is a PBE calculation of a relaxed AsI3F6 crystal, from the Materials Project.

Properties
theoretical density	3.65	Mg/m³
SG	P-1

a = 6.072 Å, b = 8.287 Å, c = 10.613 Å
α = 90.43°, β = 101.66°, γ = 97.80°
Positions (direct):
I1 0.186 0.175 0.783
I2 0.814 0.825 0.217
I3 0.901 0.381 0.827
I4 0.777 0.769 0.464
I5 0.223 0.231 0.536
I6 0.099 0.619 0.173
F1 0.644 0.192 0.099
F2 0.472 0.032 0.266
F3 0.528 0.968 0.734
F4 0.590 0.583 0.876
F5 0.410 0.417 0.124
F6 0.220 0.129 0.072
F7 0.761 0.744 0.711
F8 0.337 0.680 0.682
F9 0.780 0.871 0.928
F10 0.356 0.808 0.901
F11 0.663 0.320 0.318
F12 0.239 0.256 0.289
As1 0.553 0.776 0.806
As2 0.447 0.224 0.194



# 8
The following is a PBE calculation of a relaxed Te2As2SI6O2F12 crystal, from the Materials Project.

Properties
theoretical density	3.93	Mg/m³
SG	P1
energy relative to the lowest polymorph listed for this composition	52	meV per atom

a = 13.380 Å, b = 13.564 Å, c = 13.575 Å
α = 91.18°, β = 91.12°, γ = 91.28°
Positions (direct):
F1 0.880 0.601 0.133
F2 0.936 0.022 0.824
F3 0.974 0.604 0.833
F4 0.125 0.875 0.124
F5 0.536 0.963 0.164
F6 0.375 0.556 0.619
F7 0.019 0.237 0.172
F8 0.478 0.473 0.762
F9 0.824 0.425 0.083
F10 0.188 0.383 0.858
F11 0.022 0.459 0.094
F12 0.427 0.900 0.557
F13 0.097 0.067 0.415
F14 0.569 0.463 0.111
F15 0.684 0.893 0.697
F16 0.165 0.364 0.570
F17 0.324 0.910 0.367
F18 0.304 0.114 0.335
F19 0.945 0.710 0.481
F20 0.207 0.768 0.566
F21 0.591 0.782 0.048
F22 0.529 0.891 0.357
F23 0.954 0.432 0.680
F24 0.290 0.954 0.171
F25 0.900 0.804 0.774
F26 0.120 0.476 0.387
F27 0.653 0.415 0.385
F28 0.086 0.532 0.558
F29 0.623 0.081 0.617
F30 0.135 0.061 0.659
F31 0.922 0.506 0.433
F32 0.045 0.640 0.057
F33 0.916 0.218 0.733
F34 0.674 0.604 0.409
F35 0.600 0.951 0.940
F36 0.015 0.983 0.227
F37 0.468 0.078 0.444
F38 0.511 0.533 0.327
F39 0.453 0.977 0.827
F40 0.988 0.405 0.875
F41 0.608 0.169 0.066
F42 0.508 0.636 0.913
F43 0.415 0.892 0.990
F44 0.155 0.583 0.894
F45 0.360 0.367 0.649
F46 0.866 0.327 0.359
F47 0.384 0.065 0.640
F48 0.386 0.152 0.166
Te1 0.901 0.552 0.293
Te2 0.102 0.624 0.767
Te3 0.584 0.800 0.745
Te4 0.442 0.126 0.297
Te5 0.073 0.395 0.763
Te6 0.428 0.914 0.255
Te7 0.647 0.200 0.703
Te8 0.849 0.361 0.215
O1 0.693 0.317 0.205
O2 0.632 0.666 0.205
O3 0.805 0.114 0.943
O4 0.226 0.716 0.299
O5 0.231 0.730 0.786
O6 0.112 0.283 0.375
O7 0.835 0.906 0.945
O8 0.759 0.446 0.617
As1 0.641 0.521 0.309
As2 0.953 0.548 0.028
As3 0.352 0.478 0.720
As4 0.810 0.009 0.862
As5 0.354 0.002 0.527
As6 0.478 0.001 0.955
As7 0.148 0.946 0.238
As8 0.054 0.423 0.486
I1 0.599 0.681 0.590
I2 0.276 0.351 0.139
I3 0.854 0.853 0.404
I4 0.332 0.671 0.393
I5 0.790 0.132 0.393
I6 0.173 0.902 0.607
I7 0.132 0.151 0.950
I8 0.595 0.311 0.094
I9 0.696 0.378 0.847
I10 0.743 0.661 0.880
I11 0.119 0.818 0.880
I12 0.406 0.248 0.876
I13 0.067 0.170 0.312
I14 0.869 0.168 0.597
I15 0.924 0.752 0.637
I16 0.583 0.645 0.079
I17 0.963 0.886 0.013
I18 0.158 0.202 0.611
I19 0.090 0.778 0.344
I20 0.369 0.690 0.850
I21 0.395 0.325 0.395
I22 0.564 0.300 0.554
I23 0.305 0.621 0.086
I24 0.905 0.164 0.049
S1 0.286 0.113 0.870
S2 0.737 0.968 0.346
S3 0.254 0.509 0.209
S4 0.735 0.499 0.710



Ordered energy relative to the elements results: -2.138 -2.212 -1.914 -1.447 -1.574 -1.836 -1.728 -1.383; unit eV/atom.
Ordered total energy results: -3.765 -3.894 -3.738 -3.197 -3.398 -3.661 -3.522 -3.576; unit eV per atom.